! Ce8AlPd24, optimized geometry, DFT PBE; values from VASP
&SYSTEM
  ibrav = 0, nat = 33, ntyp = 3
/
ATOMIC_SPECIES
Ce 140.12 Ce.upf
Al 26.98 Al.upf
Pd 106.42 Pd.upf
CELL_PARAMETERS angstrom
8.449 0.000 0.000
0.000 8.449 0.000
0.000 0.000 8.449
ATOMIC_POSITIONS crystal
Ce 0.249 0.249 0.249
Ce 0.249 0.249 0.751
Ce 0.249 0.751 0.249
Ce 0.249 0.751 0.751
Ce 0.751 0.249 0.249
Ce 0.751 0.249 0.751
Ce 0.751 0.751 0.249
Ce 0.751 0.751 0.751
Al 0.500 0.500 0.500
Pd 0.000 0.000 0.247
Pd 0.000 0.000 0.753
Pd 0.000 0.240 0.500
Pd 0.000 0.247 0.000
Pd 0.000 0.500 0.240
Pd 0.000 0.500 0.760
Pd 0.000 0.753 0.000
Pd 0.000 0.760 0.500
Pd 0.208 0.500 0.500
Pd 0.240 0.000 0.500
Pd 0.240 0.500 0.000
Pd 0.247 0.000 0.000
Pd 0.500 0.000 0.240
Pd 0.500 0.000 0.760
Pd 0.500 0.208 0.500
Pd 0.500 0.240 0.000
Pd 0.500 0.500 0.208
Pd 0.500 0.500 0.792
Pd 0.500 0.760 0.000
Pd 0.500 0.792 0.500
Pd 0.753 0.000 0.000
Pd 0.760 0.000 0.500
Pd 0.760 0.500 0.000
Pd 0.792 0.500 0.500
! total moment: 6.5 μB/f.u.
! energy of formation: -27.0 eV per formula unit

---

! TmGe2Rh4, optimized geometry, DFT PBE; values from VASP
&SYSTEM
  ibrav = 0, nat = 28, ntyp = 3
/
ATOMIC_SPECIES
Tm 168.93 Tm.upf
Ge 72.64 Ge.upf
Rh 102.91 Rh.upf
CELL_PARAMETERS angstrom
11.444 0.000 0.000
0.000 4.214 0.000
0.000 0.000 9.184
ATOMIC_POSITIONS crystal
Tm 0.174 0.250 0.148
Tm 0.326 0.750 0.648
Tm 0.674 0.250 0.352
Tm 0.826 0.750 0.852
Ge 0.059 0.750 0.382
Ge 0.138 0.750 0.914
Ge 0.362 0.250 0.414
Ge 0.441 0.250 0.882
Ge 0.559 0.750 0.118
Ge 0.638 0.750 0.586
Ge 0.862 0.250 0.086
Ge 0.941 0.250 0.618
Rh 0.001 0.250 0.884
Rh 0.061 0.750 0.671
Rh 0.156 0.250 0.496
Rh 0.231 0.250 0.809
Rh 0.269 0.750 0.309
Rh 0.344 0.750 0.996
Rh 0.439 0.250 0.171
Rh 0.499 0.750 0.384
Rh 0.501 0.250 0.616
Rh 0.561 0.750 0.829
Rh 0.656 0.250 0.004
Rh 0.731 0.250 0.691
Rh 0.769 0.750 0.191
Rh 0.844 0.750 0.504
Rh 0.939 0.250 0.329
Rh 0.999 0.750 0.116
! energy of formation: -5.4 eV per formula unit

---

! TiF6, optimized geometry, DFT PBE; values from VASP
&SYSTEM
  ibrav = 0, nat = 14, ntyp = 2
/
ATOMIC_SPECIES
Ti 47.87 Ti.upf
F 19.00 F.upf
CELL_PARAMETERS angstrom
2.803 -5.099 0.000
2.803 5.099 0.000
-1.759 0.000 13.361
ATOMIC_POSITIONS crystal
Ti 0.000 0.500 0.000
Ti 0.500 0.000 0.500
F 0.041 0.337 0.890
F 0.056 0.199 0.251
F 0.167 0.762 0.537
F 0.199 0.056 0.751
F 0.238 0.833 0.963
F 0.337 0.041 0.390
F 0.663 0.959 0.610
F 0.762 0.167 0.037
F 0.801 0.944 0.249
F 0.833 0.238 0.463
F 0.944 0.801 0.749
F 0.959 0.663 0.110
! total moment: 0.0 μB/f.u.
! energy of formation: -16.7 eV per formula unit

---

! AsS4N3, optimized geometry, DFT PBE; values from VASP
&SYSTEM
  ibrav = 0, nat = 32, ntyp = 3
/
ATOMIC_SPECIES
As 74.92 As.upf
S 32.06 S.upf
N 14.01 N.upf
CELL_PARAMETERS angstrom
10.699 0.000 0.000
0.000 10.305 0.000
0.000 0.000 9.172
ATOMIC_POSITIONS crystal
As 0.249 0.250 0.094
As 0.251 0.750 0.594
As 0.749 0.250 0.406
As 0.751 0.750 0.906
S 0.035 0.250 0.735
S 0.063 0.650 0.645
S 0.063 0.850 0.645
S 0.084 0.750 0.054
S 0.416 0.250 0.554
S 0.437 0.150 0.145
S 0.437 0.350 0.145
S 0.465 0.750 0.235
S 0.535 0.250 0.765
S 0.563 0.650 0.855
S 0.563 0.850 0.855
S 0.584 0.750 0.446
S 0.916 0.250 0.946
S 0.937 0.150 0.355
S 0.937 0.350 0.355
S 0.965 0.750 0.265
N 0.024 0.635 0.160
N 0.024 0.865 0.160
N 0.202 0.250 0.285
N 0.298 0.750 0.785
N 0.476 0.135 0.660
N 0.476 0.365 0.660
N 0.524 0.635 0.340
N 0.524 0.865 0.340
N 0.702 0.250 0.215
N 0.798 0.750 0.715
N 0.976 0.135 0.840
N 0.976 0.365 0.840
! total moment: 2.0 μB/f.u.
! energy of formation: 6.0 eV per formula unit

---

! NaLi4H10N5, optimized geometry, DFT PBE; values from VASP
&SYSTEM
  ibrav = 0, nat = 80, ntyp = 4
/
ATOMIC_SPECIES
Na 22.99 Na.upf
Li 6.94 Li.upf
H 1.01 H.upf
N 14.01 N.upf
CELL_PARAMETERS angstrom
6.732 0.000 0.000
0.892 9.843 0.000
1.948 1.156 11.220
ATOMIC_POSITIONS crystal
Na 0.000 0.000 0.000
Na 0.200 0.800 0.400
Na 0.400 0.600 0.800
Na 0.800 0.200 0.599
Li 0.062 0.455 0.848
Li 0.138 0.346 0.551
Li 0.148 0.351 0.052
Li 0.271 0.258 0.248
Li 0.339 0.145 0.952
Li 0.353 0.152 0.448
Li 0.462 0.055 0.648
Li 0.539 0.944 0.352
Li 0.550 0.950 0.850
Li 0.601 0.400 0.200
Li 0.662 0.855 0.048
Li 0.738 0.744 0.751
Li 0.749 0.747 0.250
Li 0.862 0.655 0.448
Li 0.930 0.541 0.153
Li 0.950 0.550 0.650
H 0.044 0.235 0.841
H 0.074 0.648 0.980
H 0.076 0.769 0.617
H 0.106 0.048 0.369
H 0.107 0.738 0.213
H 0.112 0.046 0.599
H 0.138 0.586 0.275
H 0.146 0.132 0.703
H 0.242 0.035 0.241
H 0.275 0.568 0.018
H 0.283 0.449 0.376
H 0.307 0.848 0.769
H 0.308 0.538 0.613
H 0.310 0.845 0.000
H 0.339 0.385 0.676
H 0.345 0.931 0.104
H 0.442 0.835 0.641
H 0.475 0.249 0.779
H 0.486 0.371 0.414
H 0.501 0.643 0.171
H 0.511 0.343 0.015
H 0.512 0.645 0.399
H 0.539 0.190 0.078
H 0.545 0.731 0.504
H 0.639 0.630 0.044
H 0.675 0.047 0.179
H 0.677 0.169 0.817
H 0.706 0.138 0.413
H 0.708 0.448 0.569
H 0.711 0.445 0.800
H 0.738 0.985 0.476
H 0.745 0.531 0.904
H 0.841 0.434 0.441
H 0.875 0.848 0.579
H 0.875 0.967 0.217
H 0.901 0.243 0.199
H 0.907 0.938 0.814
H 0.909 0.249 0.970
H 0.938 0.785 0.876
H 0.939 0.331 0.301
N 0.034 0.668 0.277
N 0.058 0.241 0.928
N 0.150 0.553 0.982
N 0.162 0.138 0.611
N 0.234 0.468 0.676
N 0.255 0.044 0.327
N 0.363 0.936 0.013
N 0.367 0.357 0.372
N 0.444 0.278 0.084
N 0.455 0.842 0.728
N 0.549 0.153 0.784
N 0.561 0.736 0.413
N 0.635 0.068 0.477
N 0.649 0.627 0.133
N 0.749 0.952 0.182
N 0.762 0.536 0.812
N 0.835 0.868 0.877
N 0.856 0.442 0.527
N 0.936 0.338 0.211
N 0.950 0.753 0.583
! total moment: 0.0 μB/f.u.
! energy of formation: -11.3 eV per formula unit

---

! Th3Pt, optimized geometry, DFT PBE; values from VASP
&SYSTEM
  ibrav = 0, nat = 8, ntyp = 2
/
ATOMIC_SPECIES
Th 232.04 Th.upf
Pt 195.08 Pt.upf
CELL_PARAMETERS angstrom
7.006 0.000 0.000
-3.503 6.067 0.000
0.000 0.000 5.145
ATOMIC_POSITIONS crystal
Th 0.178 0.355 0.250
Th 0.178 0.822 0.250
Th 0.355 0.178 0.750
Th 0.645 0.822 0.250
Th 0.822 0.178 0.750
Th 0.822 0.645 0.750
Pt 0.333 0.667 0.750
Pt 0.667 0.333 0.250
! total moment: 0.0 μB/f.u.
! energy of formation: -1.0 eV per formula unit